# 1
The following is a PBE with a Hubbard U calculation of a relaxed structure of Li2FeP5O15, from the Materials Project.

a b c (Å): 5.1569 13.4688 8.8575
angles (deg): 90.00 101.87 90.00
Last column: nearest neighbours and their distance in Å.
Space group P2_1/m (No. 11)
Symmetry-distinct sites (fractional):
1 Li 0.0592 0.1160 0.0970 x4  4 O 2.11-2.36
2 Fe 0.5000 0.0000 0.5000 x2  6 O 2.01-2.04
3 P 0.0011 0.1414 0.5166 x4  4 O 1.50-1.59
4 P 0.3413 0.0768 0.8159 x4  4 O 1.49-1.63
5 P 0.4549 0.7500 0.9864 x2  4 O 1.50-1.64
6 O 0.0550 0.2500 0.4589 x2  2 P 1.59
7 O 0.1389 0.1456 0.6946 x4  2 P 1.59-1.63
8 O 0.1500 0.0731 0.4283 x4  1 P 1.51
9 O 0.1902 0.0320 0.9255 x4  1 P 1.49
10 O 0.1915 0.7500 0.8776 x2  1 P 1.50
11 O 0.2873 0.2500 0.0661 x2  1 P 1.50
12 O 0.2925 0.6272 0.4982 x4  1 P 1.50
13 O 0.4444 0.6569 0.1039 x4  2 P 1.60-1.64
14 O 0.4874 0.0094 0.7247 x4  1 P 1.51

Computed properties:
As for the energy above the most stable polymorph in this dataset: 0 meV/atom. The raw total energy comes out at -319.21 eV for the cell shown.



# 2
The following is a PBE with a Hubbard U calculation of a relaxed structure of MgV2O4, from the Materials Project.

a b c (Å): 6.0601 6.0601 14.8488
angles (deg): 90.00 90.00 120.00
Last column: nearest neighbours and their distance in Å.
Space group P3m1 (No. 156)
Symmetry-distinct sites (fractional):
1 Mg 0.0000 0.0000 0.0000 x1  4 O 1.99-2.04
2 Mg 0.0000 0.0000 0.2436 x1  4 O 1.99-2.05
3 Mg 0.0000 0.0000 0.6210 x1  6 O 2.07-2.14
4 Mg 0.3333 0.6667 0.2881 x1  6 O 2.09-2.12
5 Mg 0.3333 0.6667 0.9156 x1  4 O 1.97-2.01
6 Mg 0.6667 0.3333 0.5778 x1  4 O 1.98-2.06
7 V 0.0033 0.5016 0.1236 x3  6 O 2.02-2.11
8 V 0.1642 0.3284 0.4567 x3  6 O 2.04-2.10
9 V 0.3333 0.6667 0.6664 x1  4 O 1.96-2.00
10 V 0.3351 0.1675 0.7901 x3  6 O 2.05-2.07
11 V 0.6667 0.3333 0.3339 x1  4 O 1.96-1.97
12 V 0.6667 0.3333 0.9586 x1  6 O 2.05-2.08
13 O 0.0000 0.0000 0.3817 x1  1 Mg 2.05, 3 V 2.05
14 O 0.0000 0.0000 0.8625 x1  1 Mg 2.04, 3 V 2.06
15 O 0.0199 0.5099 0.3784 x3  3 V 1.97-2.07, 1 Mg 2.12
16 O 0.1583 0.3165 0.7115 x3  3 V 1.96-2.07, 1 Mg 2.14
17 O 0.1786 0.3572 0.1992 x3  2 Mg 1.99-2.09, 2 V 2.02
18 O 0.3097 0.1549 0.5349 x3  2 Mg 1.98-2.07, 2 V 2.04
19 O 0.3333 0.6667 0.0483 x1  1 Mg 1.97, 3 V 2.06
20 O 0.3333 0.6667 0.5320 x1  4 V 2.00-2.10
21 O 0.3588 0.1794 0.0435 x3  1 Mg 1.99, 3 V 2.05-2.07
22 O 0.5132 0.0264 0.8698 x3  1 Mg 2.01, 3 V 2.05-2.08
23 O 0.6667 0.3333 0.2016 x1  4 V 1.96-2.11
24 O 0.6667 0.3333 0.7164 x1  3 V 2.06, 1 Mg 2.06

Computed properties:
As for the energy above the most stable polymorph in this dataset: 19 meV/atom. The raw total energy comes out at -313.34 eV for the cell shown.



# 3
The following is a PBE with a Hubbard U calculation of a relaxed structure of MnV2Fe3P6O24, from the Materials Project.

a b c (Å): 8.6653 8.6653 20.4360
angles (deg): 90.00 90.00 120.00
Last column: nearest neighbours and their distance in Å.
Space group R3 (No. 146, hexagonal axes)
Symmetry-distinct sites (fractional):
1 Mn 0.0000 0.0000 0.0000 x3  6 O 1.97-2.16
2 V 0.0000 0.0000 0.3548 x3  6 O 2.10-2.12
3 V 0.0000 0.0000 0.8548 x3  6 O 2.06-2.10
4 Fe 0.0000 0.0000 0.2074 x3  6 O 1.92-2.14
5 Fe 0.0000 0.0000 0.5005 x3  6 O 1.92-2.11
6 Fe 0.0000 0.0000 0.7079 x3  6 O 1.93-2.14
7 P 0.9999 0.7031 0.6039 x9  4 O 1.52-1.58
8 P 0.0009 0.2985 0.1039 x9  4 O 1.51-1.58
9 O 0.0082 0.8309 0.2819 x9  1 P 1.58
10 O 0.0100 0.1774 0.7826 x9  1 P 1.58
11 O 0.0130 0.8077 0.6656 x9  1 P 1.52
12 O 0.0145 0.2048 0.1649 x9  1 P 1.52
13 O 0.1327 0.4568 0.7081 x9  1 P 1.51
14 O 0.1428 0.6796 0.2096 x9  1 P 1.52
15 O 0.1661 0.4917 0.0939 x9  1 P 1.58
16 O 0.1666 0.6792 0.5906 x9  1 P 1.58

Computed properties:
The raw total energy comes out at -788.94 eV for the cell shown.



# 4
The following is a PBE with a Hubbard U calculation of a relaxed structure of Li2Cr3FeO8, from the Materials Project.

a b c (Å): 10.2956 5.8856 5.9953
angles (deg): 90.00 124.61 90.00
Last column: nearest neighbours and their distance in Å.
Space group C2/m (No. 12)
Symmetry-distinct sites (fractional):
1 Li 0.0000 0.0000 0.0000 x2  6 O 2.19-2.20
2 Li 0.0000 0.5000 0.0000 x2  6 O 2.18-2.22
3 Cr 0.0000 0.0000 0.5000 x2  6 O 2.03
4 Cr 0.2500 0.2500 0.5000 x4  6 O 1.94-1.96
5 Fe 0.0000 0.5000 0.5000 x2  6 O 2.03-2.06
6 O 0.0210 0.2501 0.2883 x8  2 Cr 1.94-2.03, 1 Fe 2.03
7 O 0.2391 0.0000 0.7048 x4  3 Cr 1.96-2.03
8 O 0.2422 0.5000 0.7047 x4  2 Cr 1.95, 1 Fe 2.06

Computed properties:
As for the energy above the most stable polymorph in this dataset: 51 meV/atom. The raw total energy comes out at -192.02 eV for the cell shown.



# 5
The following is a PBE with a Hubbard U calculation of a relaxed structure of MgMn6O8F4, from the Materials Project.

a b c (Å): 4.9979 5.0079 8.9324
angles (deg): 89.27 89.52 88.95
Last column: nearest neighbours and their distance in Å.
Space group P1 (No. 1)
Symmetry-distinct sites (fractional):
1 Mg 0.0000 0.0000 0.0000 x1  2 F 1.94-2.05, 4 O 1.96-2.13
2 Mn 0.0144 0.5100 0.3432 x1  3 O 1.94-2.10, 1 F 2.11
3 Mn 0.0437 0.4671 0.6781 x1  4 O 1.92-2.12, 1 F 1.98
4 Mn 0.4869 0.9463 0.1907 x1  4 O 1.90-2.11, 1 F 2.12
5 Mn 0.5080 0.9787 0.8293 x1  2 O 1.89-1.99, 1 F 2.04
6 Mn 0.5542 0.0349 0.5002 x1  4 O 1.92-2.11, 1 F 2.03
7 Mn 0.9846 0.5140 0.9991 x1  4 O 1.93-2.13, 1 F 1.99
8 O 0.1457 0.7121 0.1574 x1  3 Mn 1.93-2.11, 1 Mg 2.12
9 O 0.1673 0.7207 0.8467 x1  3 Mn 1.93-2.16, 1 Mg 2.13
10 O 0.3490 0.1887 0.3385 x1  2 Mn 1.92
11 O 0.3648 0.1861 0.6702 x1  2 Mn 1.89-1.94
12 O 0.6657 0.8003 0.0085 x1  1 Mg 1.96, 3 Mn 1.99-2.13
13 O 0.7025 0.7969 0.3456 x1  3 Mn 1.90-2.10
14 O 0.8612 0.2737 0.8478 x1  2 Mn 1.93-2.01, 1 Mg 2.04
15 O 0.8643 0.3140 0.5111 x1  3 Mn 1.92-2.11
16 F 0.2209 0.6863 0.5211 x1  2 Mn 1.98-2.11
17 F 0.3284 0.1976 0.0185 x1  1 Mg 1.94, 1 Mn 2.12
18 F 0.7213 0.7988 0.6610 x1  2 Mn 2.03-2.04
19 F 0.8496 0.2613 0.1554 x1  1 Mn 1.99, 1 Mg 2.05

Computed properties:
As for the energy above the most stable polymorph in this dataset: 104 meV/atom. The raw total energy comes out at -128.43 eV for the cell shown.



# 6
The following is a PBE with a Hubbard U calculation of a relaxed structure of MgMn6O8F4, from the Materials Project.

a b c (Å): 4.9219 9.1591 4.9249
angles (deg): 90.00 90.04 90.00
Last column: nearest neighbours and their distance in Å.
Space group P2 (No. 3)
Symmetry-distinct sites (fractional):
1 Mg 0.0000 0.0000 0.0000 x1  4 O 1.91-1.92
2 Mn 0.0000 0.0842 0.5000 x1  2 F 2.05, 4 O 2.10-2.11
3 Mn 0.0000 0.4344 0.5000 x1  2 O 1.89, 2 F 2.06
4 Mn 0.0000 0.7451 0.5000 x1  4 O 1.95-2.05
5 Mn 0.5000 0.2524 0.0000 x1  4 O 1.95-2.05
6 Mn 0.5000 0.5630 0.0000 x1  2 O 1.89, 2 F 2.06
7 Mn 0.5000 0.9129 0.0000 x1  2 F 2.05, 4 O 2.10-2.11
8 O 0.1851 0.5855 0.3147 x2  2 Mn 1.89-1.95
9 O 0.1905 0.9109 0.2964 x2  1 Mg 1.92, 3 Mn 2.05-2.11
10 O 0.2975 0.0867 0.8085 x2  1 Mg 1.91, 3 Mn 2.05-2.11
11 O 0.3148 0.4119 0.8145 x2  2 Mn 1.89-1.95
12 F 0.1811 0.2588 0.3111 x2  3 Mn 2.05-2.19
13 F 0.3120 0.7383 0.8181 x2  3 Mn 2.05-2.19

Computed properties:
As for the energy above the most stable polymorph in this dataset: 138 meV/atom. The raw total energy comes out at -127.79 eV for the cell shown.



Respective formation energy values: -2548 -2687 -2426 -2066 -2209 -2175 meV/atom.